1.
Below is a relaxed structure of ScB2, with properties calculated at the PBE-GGA level.

Calculated values
Volume in Å³/cell: 30.20
SG: P6/mmm (191)
Uncorrected energy in eV/f.u.: -22.21
Theoretical density in g/cm³: 3.7

a = 3.146 Å, b = 3.146 Å, c = 3.524 Å
α = 90.00°, β = 90.00°, γ = 120.00°
Fractional coordinates of all 3 atoms:
Sc  0.000  0.000  0.000
B  0.667  0.333  0.500
B  0.333  0.667  0.500

2.
Below is a relaxed structure of Zr10NiSnSb4, with properties calculated at the PBE-GGA level.

Calculated values
Volume in Å³/cell: 347.85
SG: I422 (97)
Uncorrected energy in eV/f.u.: -121.79
Magnetization in μB/cell: 0.01
Theoretical density in g/cm³: 7.5

a = 5.561 Å, b = 8.384 Å, c = 8.384 Å
α = 96.31°, β = 109.37°, γ = 70.63°
Fractional coordinates of all 16 atoms:
Zr  0.433  0.860  0.707
Zr  0.586  0.140  0.293
Zr  0.914  0.293  0.140
Zr  0.067  0.707  0.860
Zr  0.726  0.707  0.140
Zr  0.293  0.293  0.860
Zr  0.774  0.140  0.707
Zr  0.207  0.860  0.293
Zr  0.250  0.500  0.500
Zr  0.750  0.500  0.500
Ni  0.750  0.000  0.000
Sn  0.250  0.000  0.000
Sb  0.336  0.500  0.173
Sb  0.664  0.500  0.827
Sb  0.836  0.827  0.500
Sb  0.164  0.173  0.500

3.
Below is a relaxed structure of V3Pd, with properties calculated at the PBE-GGA level.

Calculated values
Volume in Å³/cell: 111.74
SG: Pm-3n (223)
Uncorrected energy in eV/f.u.: -32.96
Theoretical density in g/cm³: 7.7

a = 4.817 Å, b = 4.817 Å, c = 4.817 Å
α = 90.00°, β = 90.00°, γ = 90.00°
Fractional coordinates of all 8 atoms:
V  0.500  0.250  0.000
V  0.500  0.750  0.000
V  0.250  0.000  0.500
V  0.750  0.000  0.500
V  0.000  0.500  0.250
V  0.000  0.500  0.750
Pd  0.500  0.500  0.500
Pd  0.000  0.000  0.000

4.
Below is a relaxed structure of BaGe3Rh, with properties calculated at the PBE-GGA level.

Calculated values
Volume in Å³/cell: 109.10
SG: I4mm (107)
Uncorrected energy in eV/f.u.: -25.97
Theoretical density in g/cm³: 7.0

a = 6.132 Å, b = 6.132 Å, c = 6.132 Å
α = 136.18°, β = 136.18°, γ = 63.70°
Fractional coordinates of all 5 atoms:
Ba  0.591  0.591  0.000
Ge  0.999  0.999  0.000
Ge  0.343  0.843  0.500
Ge  0.843  0.343  0.500
Rh  0.241  0.241  0.000

5.
Below is a relaxed structure of UB4H16, with properties calculated at the PBE-GGA level.

Calculated values
Volume in Å³/cell: 372.91
E above lowest polymorph in meV/atom: 5
SG: Cmcm (63)
Uncorrected energy in eV/f.u.: -95.01
Magnetization in μB/cell: 4.00
Theoretical density in g/cm³: 2.6

a = 5.581 Å, b = 5.581 Å, c = 11.973 Å
α = 90.00°, β = 90.00°, γ = 90.10°
Fractional coordinates of all 42 atoms:
U  0.721  0.279  0.250
U  0.279  0.721  0.750
B  0.219  0.347  0.250
B  0.347  0.219  0.750
B  0.781  0.653  0.750
B  0.653  0.781  0.250
B  0.774  0.226  0.043
B  0.226  0.774  0.957
B  0.774  0.226  0.457
B  0.226  0.774  0.543
H  0.078  0.517  0.250
H  0.517  0.078  0.750
H  0.922  0.483  0.750
H  0.483  0.922  0.250
H  0.114  0.151  0.250
H  0.151  0.114  0.750
H  0.886  0.849  0.750
H  0.849  0.886  0.250
H  0.340  0.357  0.336
H  0.357  0.340  0.664
H  0.340  0.357  0.164
H  0.357  0.340  0.836
H  0.660  0.643  0.664
H  0.643  0.660  0.336
H  0.660  0.643  0.836
H  0.643  0.660  0.164
H  0.904  0.096  0.103
H  0.096  0.904  0.897
H  0.904  0.096  0.397
H  0.096  0.904  0.603
H  0.821  0.432  0.076
H  0.432  0.821  0.924
H  0.821  0.432  0.424
H  0.432  0.821  0.576
H  0.179  0.568  0.924
H  0.568  0.179  0.076
H  0.179  0.568  0.576
H  0.568  0.179  0.424
H  0.200  0.800  0.055
H  0.800  0.200  0.945
H  0.200  0.800  0.445
H  0.800  0.200  0.555

6.
Below is a relaxed structure of RbCeSe4, with properties calculated at the PBE-GGA level.

Calculated values
Volume in Å³/cell: 558.85
SG: P4/mmm (123)
Uncorrected energy in eV/f.u.: -23.83
Magnetization in μB/cell: 1.31
Theoretical density in g/cm³: 3.2

a = 7.295 Å, b = 7.295 Å, c = 10.501 Å
α = 90.00°, β = 90.00°, γ = 90.00°
Fractional coordinates of all 12 atoms:
Rb  0.500  0.000  0.500
Rb  0.000  0.500  0.500
Ce  0.500  0.000  0.000
Ce  0.000  0.500  0.000
Se  0.000  0.281  0.784
Se  0.000  0.719  0.784
Se  0.281  0.000  0.784
Se  0.719  0.000  0.216
Se  0.000  0.719  0.216
Se  0.719  0.000  0.784
Se  0.281  0.000  0.216
Se  0.000  0.281  0.216

Formation energy from the elements? In order: -0.8388; -0.6738; -0.1327; -0.5629; -0.2656; -0.8032 eV/atom.